Record 1
First-principles (PBE+U) data for a relaxed MgFe6Sb10I6O18 crystal, as listed in the Materials Project database.

```
MgFe6Sb10I6O18
1.0
8.1496 0.0000 0.0000
2.6148 9.1369 0.0000
0.8756 0.8456 12.6135
Mg Fe Sb I O
1 6 10 6 18
Cartesian
0.0000 0.0000 0.0000
2.2441 4.6008 8.4898
4.7664 6.2542 10.1518
4.7003 4.7728 1.0929
7.3852 5.6886 7.7869
7.7812 5.1601 10.9075
9.6337 5.2370 5.0098
2.8889 3.8890 12.1496
4.1435 7.0395 6.5333
4.8320 3.8592 5.9944
5.2498 3.1331 9.2810
7.0428 8.3185 12.1791
6.7731 6.6089 3.1713
7.6263 3.4481 2.9231
8.1078 2.5495 6.4862
9.9045 7.7007 9.3795
9.4685 6.2669 0.0975
2.3235 2.4727 3.9267
3.8549 7.4004 2.5511
6.2679 8.4552 8.8468
5.3746 2.0703 0.3004
9.0206 7.9226 5.8016
8.9171 2.3004 9.7586
3.0960 7.2030 10.8344
3.3412 6.5339 8.3222
3.3282 5.4197 5.6879
2.8607 4.6313 0.4050
3.6767 4.3149 10.3328
3.8944 3.5979 7.8189
5.7207 5.6755 6.5877
6.3662 6.4535 11.9071
6.2320 4.9036 9.5038
5.9933 4.7662 2.6461
6.3414 3.0273 7.3676
7.1947 7.0447 1.2768
7.0909 3.1352 4.8111
8.8263 7.8961 11.3198
8.4370 5.2650 3.3855
8.9301 5.9265 9.1906
8.8316 4.3990 6.8091
9.4529 5.1588 12.0569
```

Output
Mass density in kg/m³: 4643
Calculated formation energy in eV/atom: -1.363
Symmetry: P1 (1)
Size of the total moment in Bohr magnetons per cell: 24.00

Record 2
First-principles (PBE+U) data for a relaxed MgFe6Sb10I6O18 crystal, as listed in the Materials Project database.

```
MgFe6Sb10I6O18
1.0
8.2662 0.0000 0.0000
2.5263 8.7278 0.0000
0.4864 2.6249 13.0528
Mg Fe Sb I O
1 6 10 6 18
Cartesian
0.0000 0.0000 0.0000
3.0656 8.9943 5.8838
5.8915 11.0067 12.2615
5.8070 8.2560 3.7494
5.7373 1.3168 5.0368
9.0195 9.5779 8.4668
10.8607 9.2234 2.8603
3.2736 9.0239 11.0037
3.1887 6.0600 1.6069
2.6847 2.6464 4.1637
2.9817 2.3946 7.4736
6.2739 7.8403 7.3274
4.9877 1.5257 1.2688
8.1127 6.9766 1.2020
8.7354 6.8043 4.5565
7.7181 3.4494 9.9430
7.9972 3.4801 6.9710
1.5698 2.4026 0.3551
4.1996 6.1523 4.8724
4.7129 3.9715 10.5643
6.2074 8.1068 12.0812
7.2670 3.1732 3.3382
9.8677 6.9600 8.0362
2.5739 9.1753 12.9211
1.0049 2.9151 8.4686
1.6249 2.9773 5.9742
4.1077 10.7743 11.4394
3.6201 7.9952 1.6071
4.2783 9.5532 4.1517
4.7403 9.1815 7.0800
4.0657 2.3001 5.6003
4.3408 1.3085 3.1552
6.6215 8.5173 0.7629
7.1109 9.4054 8.1612
7.1944 8.0969 5.5213
7.3399 7.1144 3.0882
9.1483 8.8935 1.2794
7.3043 1.5975 6.6663
9.9726 10.1134 10.1652
9.7154 8.5827 4.4915
9.7038 6.3675 2.5570
```

Output
Mass density in kg/m³: 4631
Calculated formation energy in eV/atom: -1.397
Symmetry: P1 (1)
Size of the total moment in Bohr magnetons per cell: 24.00

Record 3
First-principles (PBE+U) data for a relaxed MgFe6Sb10I6O18 crystal, as listed in the Materials Project database.

```
MgFe6Sb10I6O18
1.0
8.1899 0.0000 0.0000
3.0632 9.3950 0.0000
0.9156 2.4244 12.2296
Mg Fe Sb I O
1 6 10 6 18
Cartesian
0.0000 0.0000 0.0000
3.3250 5.2244 1.6422
3.7561 5.0708 4.7554
6.4715 6.9537 11.2002
6.4457 4.2832 2.3295
8.8974 6.0788 3.9553
9.6727 5.7928 7.4346
1.1672 2.8988 3.4352
3.0486 8.3436 5.7790
3.4639 7.7723 9.4140
4.3807 4.6372 9.3743
5.9334 7.4264 3.0309
4.1310 1.9112 0.8227
6.3015 7.0914 6.3889
6.9778 3.8682 6.1448
8.2818 6.4430 0.2466
9.0497 2.7236 0.0358
2.0774 3.0508 7.0018
5.7678 9.8621 11.2703
4.8476 2.2544 4.0627
8.8491 8.6582 8.2662
7.3047 3.6291 10.2424
10.3165 8.5699 2.5159
1.8389 5.6122 0.4784
2.2947 6.4859 5.5773
2.1803 4.6828 3.4131
2.7268 5.8884 9.0246
4.0363 7.9397 7.5037
2.3262 2.3744 1.5802
4.8018 7.7685 4.9292
3.9560 4.3264 11.2969
5.1559 6.5121 9.7564
4.9280 5.6659 2.9597
4.7030 3.8342 0.7845
5.4066 5.2275 5.9743
7.2596 7.1671 4.5631
7.5242 6.2033 2.1642
8.1997 7.2542 11.9328
7.7984 5.5536 6.8615
7.7960 4.1921 4.3232
8.0812 3.1601 1.8984
```

Output
Mass density in kg/m³: 4635
Calculated formation energy in eV/atom: -1.367
Symmetry: P1 (1)
Size of the total moment in Bohr magnetons per cell: 24.00

Record 4
First-principles (PBE+U) data for a relaxed MgFe6Sb10I6O18 crystal, as listed in the Materials Project database.

```
MgFe6Sb10I6O18
1.0
8.2033 0.0000 0.0000
2.6652 8.9061 0.0000
0.5879 2.9414 12.6425
Mg Fe Sb I O
1 6 10 6 18
Cartesian
0.0000 0.0000 0.0000
4.0692 6.7124 1.8970
4.3164 6.9080 4.9937
6.8254 9.0930 11.6413
7.0639 6.1606 2.6603
9.4962 7.9734 4.0928
10.2720 7.5908 7.5961
1.8273 4.7589 3.4634
3.5626 10.1968 5.9182
3.8323 9.7579 9.5541
4.9002 6.7187 9.9052
4.6881 3.7063 0.8953
6.4416 9.2943 3.3076
6.8665 8.8228 6.6311
8.0633 8.7967 0.3927
7.6153 5.6437 6.2665
9.6524 5.4724 0.1082
2.8290 4.9461 7.0293
2.9360 3.1256 11.0817
5.5785 4.0221 4.1531
7.8307 6.2028 11.1932
9.2662 10.6232 8.2590
8.4512 1.2775 2.5171
2.8049 8.3414 5.7520
2.6871 7.0025 0.4371
2.7895 6.5489 3.5802
3.2452 7.7879 9.2182
2.9862 4.5223 1.6339
4.4831 9.8880 7.6899
4.2853 6.7849 11.7783
5.3217 9.4988 5.1834
5.5932 8.6500 10.0845
5.5066 7.4870 3.1793
5.5079 5.5711 0.9033
6.0197 6.9579 6.1328
7.8168 8.9799 4.8198
8.0555 8.1356 2.3816
8.5638 9.7899 12.3456
8.3809 7.3152 7.0911
8.4291 6.0307 4.4533
8.7692 5.2705 1.9561
```

Output
Mass density in kg/m³: 4722
Calculated formation energy in eV/atom: -1.392
Symmetry: P1 (1)
Size of the total moment in Bohr magnetons per cell: 24.00

Record 5
First-principles (PBE+U) data for a relaxed MgFe6Sb10I6O18 crystal, as listed in the Materials Project database.

```
MgFe6Sb10I6O18
1.0
8.3012 0.0000 0.0000
1.9919 9.1020 0.0000
0.1436 2.4606 12.3459
Mg Fe Sb I O
1 6 10 6 18
Cartesian
0.0000 0.0000 0.0000
2.8641 8.6490 10.8340
3.3907 6.0252 1.7699
5.6101 7.4302 8.5146
5.9165 7.9046 11.5589
7.9914 7.0423 5.8207
8.7499 6.7368 9.2176
0.8443 3.7879 0.6348
2.3289 9.0306 7.2578
3.0621 5.8344 6.8981
3.4419 5.4317 10.2784
4.7897 8.7734 0.0410
5.0674 8.1548 3.8169
5.9979 5.0046 3.9118
6.3620 4.4128 7.4947
8.0552 9.8699 9.9707
8.1245 6.8699 0.9499
1.9282 8.9137 2.9619
4.3218 10.8595 9.2020
4.0371 3.2229 1.5076
7.3158 9.7596 6.3308
7.0587 4.4709 10.9387
8.8215 4.1495 5.0735
1.5105 7.3141 6.5551
1.4961 5.5568 1.3437
1.7931 6.6535 11.1556
2.1329 5.6894 8.7242
3.9171 7.6868 7.3430
4.2902 9.1616 12.3081
4.3266 6.2464 3.5183
4.3872 7.2171 10.2744
5.5331 8.3527 1.9319
4.6887 5.2561 8.3453
5.3790 4.8113 5.7826
6.9831 9.7144 11.6991
6.7317 6.8984 4.2543
7.2223 8.0066 9.7392
7.2012 6.2343 7.6445
7.4581 4.9746 0.4448
9.5259 9.8917 11.6248
9.8492 8.6798 9.1257
```

Output
Mass density in kg/m³: 4675
Calculated formation energy in eV/atom: -1.375
Symmetry: P1 (1)
Size of the total moment in Bohr magnetons per cell: 24.00

Record 6
First-principles (PBE+U) data for a relaxed MgFe6Sb10I6O18 crystal, as listed in the Materials Project database.

```
MgFe6Sb10I6O18
1.0
7.9193 0.0000 0.0000
2.5815 8.9944 0.0000
1.0810 1.6887 12.2804
Mg Fe Sb I O
1 6 10 6 18
Cartesian
0.0000 0.0000 0.0000
1.7966 1.7223 6.8424
5.5626 10.1692 10.1661
4.2167 1.0802 4.6181
7.3650 9.6029 7.6623
6.0192 0.5138 2.1143
9.7852 8.9608 5.4380
1.1170 2.0980 2.9092
4.5524 7.7579 3.0560
4.7324 7.5215 6.4554
3.8688 4.0142 8.6262
3.6492 1.6994 0.0346
7.9326 8.9836 12.2459
7.7130 6.6688 3.6543
6.8493 3.1615 5.8250
7.0294 2.9251 9.2245
10.4648 8.5850 9.3713
2.0434 6.2654 1.0470
3.1214 3.8220 5.3199
5.7821 7.4237 9.7812
5.7997 3.2593 2.4993
8.4604 6.8610 6.9605
9.5384 4.4176 11.2334
3.5092 10.0979 10.3172
3.3507 8.8782 7.4758
3.4897 7.9067 4.8846
2.6434 0.7288 3.3336
3.2975 2.0845 8.4063
6.3401 10.4176 12.0159
5.7908 9.2513 6.3382
4.9490 3.4161 10.2757
5.8825 7.0451 4.4701
5.6993 3.6379 7.8103
6.6328 7.2669 2.0048
5.7910 1.4318 5.9423
5.2417 0.2655 0.2645
8.2842 8.5986 3.8741
8.9384 9.9542 8.9468
8.0921 2.7763 7.3958
8.2311 1.8048 4.8047
8.0726 0.5851 1.9632
```

Output
Mass density in kg/m³: 4986
Calculated formation energy in eV/atom: -1.372
Symmetry: P-1 (2)
Size of the total moment in Bohr magnetons per cell: 24.00